Entry from the Materials Project: crystalline ErP3O9 at its relaxed geometry (PBE).

Unit cell a=11.440 b=20.296 c=10.188 alpha=90.00 beta=97.72 gamma=90.00
Positions (direct):
Er (0.000, 0.000, 0.000)
Er (0.000, 0.500, 0.500)
Er (0.001, 0.156, 0.483)
Er (0.001, 0.344, 0.983)
Er (0.497, 0.676, 0.024)
Er (0.497, 0.824, 0.524)
Er (0.500, 0.000, 0.000)
Er (0.500, 0.500, 0.500)
Er (0.503, 0.176, 0.476)
Er (0.503, 0.324, 0.976)
Er (0.999, 0.656, 0.017)
Er (0.999, 0.844, 0.517)
P (0.135, 0.722, 0.322)
P (0.135, 0.778, 0.822)
P (0.147, 0.117, 0.808)
P (0.147, 0.383, 0.308)
P (0.176, 0.042, 0.318)
P (0.176, 0.458, 0.818)
P (0.239, 0.226, 0.993)
P (0.239, 0.274, 0.493)
P (0.247, 0.611, 0.479)
P (0.247, 0.889, 0.979)
P (0.267, 0.553, 0.031)
P (0.267, 0.947, 0.531)
P (0.327, 0.709, 0.695)
P (0.327, 0.791, 0.195)
P (0.348, 0.124, 0.178)
P (0.348, 0.376, 0.678)
P (0.361, 0.064, 0.691)
P (0.361, 0.436, 0.191)
P (0.639, 0.564, 0.809)
P (0.639, 0.936, 0.309)
P (0.652, 0.624, 0.322)
P (0.652, 0.876, 0.822)
P (0.673, 0.209, 0.805)
P (0.673, 0.291, 0.305)
P (0.733, 0.053, 0.469)
P (0.733, 0.447, 0.969)
P (0.753, 0.111, 0.021)
P (0.753, 0.389, 0.521)
P (0.761, 0.726, 0.507)
P (0.761, 0.774, 0.007)
P (0.824, 0.542, 0.182)
P (0.824, 0.958, 0.682)
P (0.853, 0.617, 0.692)
P (0.853, 0.883, 0.192)
P (0.865, 0.222, 0.178)
P (0.865, 0.278, 0.678)
O (0.043, 0.687, 0.230)
O (0.043, 0.813, 0.730)
O (0.056, 0.122, 0.688)
O (0.056, 0.378, 0.188)
O (0.098, 0.739, 0.935)
O (0.098, 0.761, 0.435)
O (0.109, 0.075, 0.416)
O (0.109, 0.425, 0.916)
O (0.110, 0.016, 0.192)
O (0.110, 0.484, 0.692)
O (0.124, 0.067, 0.911)
O (0.124, 0.433, 0.411)
O (0.124, 0.584, 0.479)
O (0.124, 0.916, 0.979)
O (0.156, 0.591, 0.042)
O (0.156, 0.909, 0.542)
O (0.161, 0.218, 0.525)
O (0.161, 0.282, 0.025)
O (0.164, 0.189, 0.871)
O (0.164, 0.311, 0.371)
O (0.201, 0.730, 0.733)
O (0.201, 0.770, 0.233)
O (0.241, 0.672, 0.378)
O (0.241, 0.828, 0.878)
O (0.245, 0.172, 0.109)
O (0.245, 0.328, 0.609)
O (0.255, 0.517, 0.889)
O (0.255, 0.983, 0.389)
O (0.271, 0.006, 0.638)
O (0.271, 0.494, 0.138)
O (0.277, 0.091, 0.287)
O (0.277, 0.108, 0.768)
O (0.277, 0.392, 0.268)
O (0.277, 0.409, 0.787)
O (0.290, 0.641, 0.623)
O (0.290, 0.859, 0.123)
O (0.343, 0.566, 0.448)
O (0.343, 0.934, 0.948)
O (0.362, 0.244, 0.968)
O (0.362, 0.256, 0.468)
O (0.367, 0.743, 0.098)
O (0.367, 0.757, 0.598)
O (0.382, 0.589, 0.046)
O (0.382, 0.911, 0.546)
O (0.383, 0.076, 0.080)
O (0.383, 0.424, 0.580)
O (0.393, 0.103, 0.575)
O (0.393, 0.397, 0.075)
O (0.409, 0.694, 0.820)
O (0.409, 0.806, 0.320)
O (0.443, 0.163, 0.260)
O (0.443, 0.337, 0.760)
O (0.458, 0.039, 0.792)
O (0.458, 0.461, 0.292)
O (0.542, 0.539, 0.708)
O (0.542, 0.961, 0.208)
O (0.557, 0.663, 0.240)
O (0.557, 0.837, 0.740)
O (0.591, 0.194, 0.680)
O (0.591, 0.306, 0.180)
O (0.607, 0.603, 0.925)
O (0.607, 0.897, 0.425)
O (0.617, 0.576, 0.420)
O (0.617, 0.924, 0.920)
O (0.618, 0.089, 0.454)
O (0.618, 0.411, 0.954)
O (0.633, 0.243, 0.402)
O (0.633, 0.257, 0.902)
O (0.638, 0.744, 0.532)
O (0.638, 0.756, 0.032)
O (0.657, 0.066, 0.052)
O (0.657, 0.434, 0.552)
O (0.710, 0.141, 0.877)
O (0.710, 0.359, 0.377)
O (0.723, 0.591, 0.213)
O (0.723, 0.608, 0.732)
O (0.723, 0.892, 0.232)
O (0.723, 0.909, 0.713)
O (0.729, 0.506, 0.862)
O (0.729, 0.994, 0.362)
O (0.745, 0.017, 0.611)
O (0.745, 0.483, 0.111)
O (0.755, 0.672, 0.391)
O (0.755, 0.828, 0.891)
O (0.759, 0.172, 0.122)
O (0.759, 0.328, 0.622)
O (0.799, 0.230, 0.767)
O (0.799, 0.270, 0.267)
O (0.836, 0.689, 0.629)
O (0.836, 0.811, 0.129)
O (0.839, 0.718, 0.975)
O (0.839, 0.782, 0.475)
O (0.844, 0.091, 0.458)
O (0.844, 0.409, 0.958)
O (0.876, 0.084, 0.021)
O (0.876, 0.416, 0.521)
O (0.876, 0.567, 0.589)
O (0.876, 0.933, 0.089)
O (0.890, 0.516, 0.308)
O (0.890, 0.984, 0.808)
O (0.891, 0.575, 0.084)
O (0.891, 0.925, 0.584)
O (0.902, 0.239, 0.565)
O (0.902, 0.261, 0.065)
O (0.944, 0.622, 0.812)
O (0.944, 0.878, 0.312)
O (0.957, 0.187, 0.270)
O (0.957, 0.313, 0.770)

Magnetization   0.01 μB per cell
Polymorph energy (0 for the lowest one)   0.003 eV per atom
SG   P2_1/c (14)
Energy with MP2020 corrections   -8.049 eV per atom
Formation energy   -3.02 eV per atom